(1)
Na5LuMo4O16 | the Materials Project | PBE with a Hubbard U | optimized geometry; volume = 14.6 Å³ per atom; symmetry = I4_1/a, No. 88; energy of formation = -2.334 eV per atom
1.0
-5.749 5.749 5.743
5.749 -5.749 5.743
5.749 5.749 -5.743
Na Lu Mo O
10 2 8 32
Cartesian
3.403 -1.375 5.389 Na
7.124 3.403 -3.225 Na
-1.375 2.347 2.518 Na
2.347 7.124 -0.354 Na
2.347 1.375 8.968 Na
4.375 2.347 0.354 Na
1.375 3.403 6.097 Na
3.403 4.375 3.225 Na
0.000 5.749 2.871 Na
0.000 0.000 5.743 Na
0.000 0.000 0.000 Lu
5.749 0.000 2.871 Lu
6.809 3.656 2.748 Mo
7.843 1.060 -0.124 Mo
1.060 3.656 0.124 Mo
2.093 1.060 2.995 Mo
3.656 4.690 -2.748 Mo
4.690 2.093 5.867 Mo
-1.060 2.093 8.491 Mo
-2.093 4.690 5.619 Mo
0.931 2.025 -0.711 O
3.724 0.931 2.161 O
7.775 -0.931 2.161 O
4.819 3.724 5.032 O
4.819 -2.025 3.582 O
-3.724 4.819 6.454 O
9.474 0.931 0.711 O
6.680 2.025 3.582 O
1.254 5.046 -1.024 O
0.703 1.254 1.847 O
5.046 4.496 -3.896 O
4.496 0.703 4.719 O
4.496 6.453 3.896 O
-0.703 4.496 6.767 O
6.453 1.254 1.024 O
1.254 -0.703 9.639 O
-0.352 4.052 1.161 O
1.698 -0.352 4.032 O
4.052 6.102 -1.711 O
0.352 7.447 1.161 O
2.489 -2.042 7.440 O
7.791 2.489 -1.175 O
-2.042 3.261 4.568 O
3.261 7.791 1.697 O
3.261 2.042 6.918 O
3.708 3.261 -1.697 O
2.042 2.489 4.046 O
2.489 3.708 1.175 O
5.397 4.052 1.711 O
1.698 5.397 4.582 O
-1.698 6.102 4.582 O
0.352 1.698 7.454 O

=====

(2)
Na2LuMoPO8 | the Materials Project | PBE with a Hubbard U | optimized geometry; volume = 14.4 Å³ per atom; symmetry = Ibca, No. 73; energy of formation = -2.782 eV per atom
1.0
5.305 7.925 6.290
-7.487 8.570 1.012
2.219 -10.889 2.652
Na Lu Mo P O
8 4 4 4 32
Cartesian
-1.470 13.764 6.734 Na
-0.266 5.566 3.004 Na
3.803 0.858 6.148 Na
2.516 4.376 6.525 Na
-3.766 4.748 3.806 Na
0.302 0.040 6.950 Na
-2.480 1.230 3.430 Na
1.507 -8.158 3.220 Na
-2.609 -2.268 4.344 Lu
2.645 7.874 5.611 Lu
-1.066 7.139 6.163 Lu
1.102 -1.533 3.791 Lu
0.406 10.405 7.170 Mo
-1.461 3.449 6.436 Mo
-0.370 -4.798 2.785 Mo
1.497 2.157 3.519 Mo
-0.803 -0.782 1.528 P
-2.923 7.871 3.955 P
2.959 -2.264 5.999 P
0.839 6.389 8.427 P
2.583 -3.130 4.773 O
-2.475 2.815 5.112 O
4.012 6.227 6.672 O
4.486 -1.977 6.126 O
-1.475 0.591 1.293 O
-1.142 -1.316 2.952 O
1.178 6.923 7.002 O
-0.400 11.756 6.330 O
0.817 -3.435 2.633 O
4.956 -4.750 6.842 O
2.511 2.791 4.842 O
-4.450 7.583 3.829 O
-3.976 -0.621 3.283 O
-1.806 -4.284 3.768 O
-0.781 9.041 7.321 O
-0.719 6.335 8.404 O
-0.640 4.957 5.849 O
2.173 -0.941 5.844 O
0.437 -6.150 3.625 O
4.365 2.688 7.442 O
0.755 -0.728 1.551 O
1.511 5.015 8.661 O
-0.210 2.293 6.967 O
0.432 7.857 4.668 O
1.842 9.890 6.187 O
-2.137 6.547 4.111 O
-2.547 8.736 5.181 O
-4.329 2.918 2.512 O
-0.396 -2.251 5.286 O
-4.920 10.357 3.112 O
0.676 0.649 4.105 O
0.247 3.313 2.987 O

=====

(3)
Lu4Mo4O11 | the Materials Project | PBE with a Hubbard U | optimized geometry; volume = 12.6 Å³ per atom; symmetry = P2/m, No. 10; energy of formation = -2.744 eV per atom
1.0
-4.013 -0.424 -3.981
-1.565 -10.211 2.665
-10.939 4.569 10.540
Lu Mo O
16 16 44
Cartesian
-9.816 -5.668 10.499 Lu
-5.210 -2.097 5.476 Lu
-8.705 -0.761 8.856 Lu
-5.529 -2.196 1.772 Lu
-3.200 -0.532 -0.754 Lu
-13.317 -5.535 9.978 Lu
-7.293 -3.546 7.730 Lu
-10.987 -3.870 7.452 Lu
-7.297 -4.284 3.776 Lu
-2.687 0.025 2.706 Lu
-2.232 -8.713 3.178 Lu
-10.773 1.481 6.666 Lu
-10.272 3.071 10.027 Lu
-5.744 -7.548 2.558 Lu
-9.220 -1.782 5.448 Lu
-3.799 -4.882 4.349 Lu
-10.914 0.059 10.996 Mo
-12.789 -0.079 8.865 Mo
-12.099 -2.437 10.241 Mo
-7.625 -6.649 8.395 Mo
-6.751 -7.002 5.707 Mo
-1.589 -5.701 2.209 Mo
-6.859 0.775 2.796 Mo
-9.657 -6.841 6.428 Mo
-2.607 -3.438 0.779 Mo
-8.930 -7.233 3.545 Mo
-3.727 -5.988 0.359 Mo
-4.417 -3.630 -1.017 Mo
-13.910 -2.628 8.445 Mo
-9.766 0.936 3.517 Mo
-4.878 1.006 4.810 Mo
-7.586 1.166 5.679 Mo
-11.215 -2.729 5.532 O
-10.124 3.290 7.847 O
-7.252 -2.927 5.610 O
-13.973 -3.372 10.409 O
-3.330 -1.593 1.376 O
-10.090 -1.726 10.355 O
-3.581 -6.534 2.387 O
-5.205 -1.791 -0.484 O
-0.984 -0.104 -0.976 O
-8.129 -0.248 4.185 O
-5.687 -6.757 0.298 O
-9.319 2.251 5.118 O
-2.544 -2.695 -1.185 O
-7.198 -8.317 4.106 O
-7.338 2.652 7.114 O
-6.047 -0.165 6.113 O
-3.029 -0.320 -3.005 O
-0.649 -2.599 0.931 O
-4.562 -4.139 1.004 O
-5.197 -0.475 3.315 O
-4.377 -9.143 3.377 O
-10.830 0.690 8.926 O
-13.186 -4.473 7.848 O
-5.301 -3.337 3.692 O
-6.392 -9.356 1.377 O
-11.955 -1.927 8.220 O
-5.166 -8.294 6.091 O
-2.413 -3.917 2.850 O
-7.318 -3.550 1.691 O
-12.936 0.468 6.837 O
-10.829 -0.067 4.958 O
-7.247 -0.691 1.282 O
-8.910 0.135 6.861 O
-9.265 -3.140 3.614 O
-9.198 -2.516 7.533 O
-5.688 -5.999 4.266 O
-11.311 -4.275 9.708 O
-11.854 -3.044 12.274 O
-7.606 -6.202 2.363 O
-9.270 -5.375 7.942 O
-11.319 -5.592 5.909 O
-8.388 -5.819 5.039 O
-6.457 -5.477 7.092 O
-12.140 3.077 5.847 O

=====

(4)
Lu2MoO6 | the Materials Project | PBE with a Hubbard U | optimized geometry; volume = 12.4 Å³ per atom; symmetry = C2/c, No. 15; energy of formation = -3.210 eV per atom
1.0
5.457 8.114 0.000
-5.457 8.114 0.000
0.000 1.663 5.039
Lu Mo O
8 4 24
Cartesian
1.503 9.361 3.779 Lu
-1.503 8.530 1.260 Lu
-4.310 9.361 3.779 Lu
4.310 8.530 1.260 Lu
-1.250 14.976 4.423 Lu
1.250 2.915 0.616 Lu
-1.250 3.746 3.136 Lu
1.250 14.145 1.903 Lu
-1.557 11.548 2.834 Mo
1.557 6.343 2.205 Mo
-1.557 7.174 4.725 Mo
1.557 10.717 0.314 Mo
2.916 7.915 2.942 O
-2.916 9.976 2.097 O
2.916 10.808 4.617 O
-2.916 7.083 0.423 O
-2.419 11.244 4.427 O
2.419 6.647 0.612 O
-2.419 7.479 3.132 O
2.419 10.412 1.907 O
-0.549 13.028 3.217 O
0.549 4.863 1.822 O
-0.549 5.695 4.342 O
0.549 12.197 0.697 O
2.254 5.622 3.769 O
-2.254 12.269 1.270 O
2.254 13.101 3.789 O
-2.254 4.790 1.250 O
-0.332 10.233 2.602 O
0.332 7.658 2.437 O
-0.332 8.490 4.957 O
0.332 9.402 0.082 O
-0.208 14.881 0.401 O
0.208 3.011 4.639 O
-0.208 2.179 2.119 O
0.208 15.712 2.920 O

=====

(5)
Lu2Mo4O15 | the Materials Project | PBE with a Hubbard U | optimized geometry; volume = 16.0 Å³ per atom; symmetry = P2_1/c, No. 14; energy of formation = -2.526 eV per atom
1.0
9.588 0.000 0.000
0.000 6.841 0.000
0.000 2.722 10.231
Lu Mo O
4 8 30
Cartesian
5.014 5.466 2.298 Lu
4.574 4.097 7.933 Lu
0.220 2.736 2.818 Lu
9.368 6.827 7.413 Lu
7.123 2.897 0.108 Mo
2.465 6.666 10.123 Mo
2.329 5.305 5.008 Mo
7.259 4.257 5.224 Mo
8.665 6.434 1.610 Mo
0.923 3.129 8.621 Mo
3.871 1.768 3.506 Mo
5.717 7.794 6.725 Mo
6.894 6.456 1.520 O
2.695 3.107 8.711 O
2.099 1.746 3.595 O
7.489 7.817 6.636 O
5.994 3.883 1.069 O
3.594 5.680 9.162 O
1.200 4.319 4.047 O
8.388 5.243 6.185 O
3.367 5.160 0.850 O
6.222 4.403 9.382 O
8.161 3.042 4.266 O
1.427 6.521 5.965 O
0.000 0.000 0.000 O
4.794 1.361 5.116 O
6.378 5.303 4.063 O
3.210 4.260 6.169 O
1.584 2.899 1.053 O
8.004 6.663 9.178 O
9.330 7.309 3.008 O
0.259 2.254 7.224 O
4.536 0.893 2.108 O
5.053 8.670 8.123 O
9.060 4.726 1.891 O
0.528 4.837 8.340 O
4.266 3.476 3.225 O
5.322 6.087 7.007 O
8.304 2.078 1.223 O
1.284 7.484 9.008 O
3.510 6.123 3.893 O
6.078 3.439 6.339 O

=====

| no. | MP2020-corrected energy (Ry per atom) |
| --- | --- |
| 1 | -0.54948 |
| 2 | -0.56073 |
| 3 | -0.64999 |
| 4 | -0.64078 |
| 5 | -0.62893 |